Record 1
The following is a DFT calculation (PBE) of a relaxed Cs crystal.

Output
Energy above the most stable polymorph in this dataset ... 0.000 eV per atom

Structure (POSCAR):
```
Cs
1.0
-9.467 9.467 9.467
9.467 -9.467 9.467
9.467 9.467 -9.467
Cs
29
direct
0.000 0.000 0.000
0.635 0.000 0.000
0.373 0.190 0.000
0.190 0.373 0.000
0.682 0.404 0.000
0.000 0.635 0.000
0.404 0.682 0.000
0.810 0.810 0.183
0.373 0.000 0.190
0.000 0.373 0.190
0.596 0.596 0.278
0.722 0.318 0.318
0.318 0.722 0.318
0.365 0.365 0.365
0.190 0.000 0.373
0.000 0.190 0.373
0.682 0.000 0.404
0.000 0.682 0.404
0.596 0.278 0.596
0.278 0.596 0.596
0.817 0.627 0.627
0.627 0.817 0.627
0.000 0.000 0.635
0.404 0.000 0.682
0.000 0.404 0.682
0.318 0.318 0.722
0.810 0.183 0.810
0.183 0.810 0.810
0.627 0.627 0.817
```

Record 2
The following is a DFT calculation (PBE) of a relaxed As2O3 crystal.

Output
Total energy after the MP2020 corrections ... -31.94 eV/f.u.

Structure (POSCAR):
```
As2O3
1.0
1.810 -2.456 -4.296
5.714 4.839 -0.359
7.216 -7.956 7.590
As O
8 12
direct
0.009 0.612 0.116
0.009 0.388 0.884
0.509 0.388 0.116
0.509 0.612 0.884
0.941 0.887 0.384
0.941 0.113 0.616
0.441 0.113 0.384
0.441 0.887 0.616
0.392 0.500 0.000
0.892 0.500 0.000
0.557 0.000 0.500
0.057 0.000 0.500
0.240 0.943 0.322
0.240 0.057 0.678
0.740 0.057 0.322
0.740 0.943 0.678
0.204 0.436 0.176
0.204 0.564 0.824
0.704 0.564 0.176
0.704 0.436 0.824
```

Record 3
The following is a DFT calculation (PBE) of a relaxed Na2Y3Ta5Si6S6O48 crystal.

Output
Total energy after the MP2020 corrections ... -573.97 eV/f.u.

Structure (POSCAR):
```
Na2Y3Ta5Si6S6O48
1.0
17.958 -0.019 -0.003
-4.498 7.776 0.020
-0.005 0.057 23.416
Na Y Ta Si S O
6 9 15 18 18 144
direct
0.989 0.958 0.500
0.502 0.996 0.999
0.336 0.304 0.839
0.833 0.345 0.838
0.321 0.307 0.337
0.838 0.349 0.346
0.007 0.002 0.354
0.503 0.024 0.853
0.999 0.005 0.653
0.491 0.979 0.147
0.337 0.335 0.974
0.839 0.333 0.975
0.336 0.340 0.479
0.830 0.342 0.479
0.673 0.668 0.308
0.492 0.992 0.361
0.005 0.008 0.862
0.499 0.003 0.647
0.005 0.019 0.150
0.325 0.334 0.689
0.827 0.327 0.679
0.340 0.352 0.189
0.834 0.320 0.183
0.159 0.664 0.018
0.670 0.666 0.023
0.174 0.680 0.520
0.668 0.654 0.525
0.162 0.678 0.306
0.168 0.674 0.808
0.664 0.645 0.811
0.149 0.009 0.247
0.354 0.707 0.255
0.997 0.288 0.254
0.144 0.290 0.754
0.648 0.288 0.749
0.356 0.006 0.749
0.682 0.029 0.582
0.333 0.627 0.584
0.838 0.635 0.581
0.483 0.625 0.079
0.836 0.038 0.082
0.808 0.669 0.915
0.027 0.384 0.913
0.526 0.382 0.919
0.165 0.948 0.913
0.305 0.952 0.412
0.663 0.373 0.414
0.026 0.665 0.417
0.651 0.021 0.251
0.859 0.704 0.243
0.493 0.283 0.250
0.996 0.698 0.753
0.498 0.704 0.749
0.852 0.007 0.755
0.479 0.332 0.585
0.983 0.346 0.583
0.190 0.038 0.584
0.981 0.631 0.085
0.326 0.033 0.082
0.189 0.339 0.086
0.691 0.342 0.084
0.304 0.671 0.918
0.663 0.936 0.917
0.809 0.944 0.421
0.165 0.390 0.418
0.525 0.678 0.415
0.118 0.062 0.303
0.611 0.048 0.302
0.426 0.808 0.306
0.906 0.762 0.297
0.480 0.171 0.301
0.965 0.161 0.307
0.093 0.150 0.806
0.618 0.179 0.807
0.475 0.762 0.800
0.981 0.780 0.803
0.410 0.056 0.806
0.910 0.034 0.803
0.406 0.978 0.696
0.881 0.963 0.703
0.094 0.227 0.696
0.583 0.190 0.696
0.013 0.800 0.701
0.512 0.815 0.699
0.386 0.813 0.197
0.908 0.818 0.195
0.010 0.189 0.197
0.508 0.213 0.199
0.085 0.980 0.193
0.601 0.997 0.199
0.437 0.362 0.634
0.939 0.364 0.636
0.244 0.127 0.636
0.753 0.132 0.638
0.318 0.492 0.639
0.827 0.503 0.637
0.430 0.501 0.138
0.937 0.510 0.134
0.314 0.114 0.133
0.818 0.139 0.138
0.246 0.368 0.136
0.746 0.362 0.135
0.219 0.295 0.034
0.729 0.313 0.033
0.417 0.537 0.028
0.930 0.566 0.033
0.335 0.132 0.030
0.862 0.169 0.030
0.228 0.140 0.533
0.722 0.153 0.529
0.355 0.550 0.529
0.856 0.562 0.525
0.428 0.293 0.533
0.930 0.313 0.533
0.258 0.681 0.972
0.765 0.695 0.972
0.081 0.475 0.975
0.587 0.495 0.973
0.155 0.831 0.973
0.662 0.846 0.971
0.264 0.843 0.473
0.757 0.834 0.472
0.165 0.481 0.472
0.651 0.473 0.472
0.085 0.673 0.474
0.573 0.693 0.467
0.079 0.666 0.359
0.567 0.663 0.363
0.249 0.850 0.357
0.764 0.866 0.368
0.169 0.486 0.367
0.673 0.486 0.359
0.083 0.506 0.861
0.576 0.487 0.858
0.176 0.850 0.858
0.668 0.847 0.864
0.259 0.672 0.865
0.750 0.657 0.857
0.021 0.841 0.419
0.520 0.842 0.409
0.399 0.959 0.404
0.892 0.947 0.423
0.085 0.220 0.420
0.572 0.186 0.403
0.023 0.197 0.907
0.521 0.197 0.923
0.073 0.944 0.906
0.582 0.941 0.916
0.390 0.822 0.919
0.900 0.844 0.899
0.495 0.186 0.596
0.997 0.199 0.591
0.102 0.008 0.592
0.591 0.004 0.605
0.412 0.814 0.604
0.912 0.828 0.592
0.503 0.821 0.086
0.997 0.803 0.098
0.402 0.012 0.086
0.914 0.007 0.103
0.100 0.190 0.098
0.604 0.200 0.092
0.341 0.168 0.729
0.848 0.169 0.746
0.243 0.310 0.744
0.746 0.321 0.733
0.425 0.522 0.736
0.921 0.521 0.746
0.349 0.514 0.243
0.846 0.529 0.230
0.410 0.288 0.244
0.917 0.322 0.232
0.244 0.168 0.227
0.740 0.186 0.243
0.303 0.507 0.920
0.817 0.500 0.916
0.435 0.375 0.914
0.934 0.365 0.913
0.245 0.138 0.916
0.740 0.109 0.917
0.321 0.144 0.415
0.820 0.114 0.425
0.242 0.370 0.420
0.741 0.336 0.416
0.436 0.530 0.417
0.935 0.488 0.415
0.180 0.494 0.078
0.691 0.507 0.079
0.067 0.638 0.077
0.575 0.630 0.071
0.247 0.855 0.074
0.749 0.854 0.072
0.187 0.869 0.579
0.670 0.838 0.569
0.246 0.639 0.572
0.744 0.632 0.573
0.068 0.507 0.578
0.565 0.490 0.576
0.158 0.838 0.254
0.668 0.880 0.258
0.259 0.662 0.273
0.775 0.692 0.244
0.081 0.476 0.261
0.562 0.460 0.259
0.165 0.482 0.770
0.660 0.484 0.758
0.074 0.679 0.762
0.576 0.688 0.756
0.259 0.838 0.759
0.762 0.865 0.767
```

Record 4
The following is a DFT calculation (PBE) of a relaxed Pm2IrPd crystal.

Structure (POSCAR):
```
Pm2IrPd
1.0
0.000 3.555 3.555
3.555 0.000 3.555
3.555 3.555 0.000
Pm Ir Pd
2 1 1
direct
0.250 0.250 0.250
0.750 0.750 0.750
0.500 0.500 0.500
0.000 0.000 0.000
```

Record 5
The following is a DFT calculation (PBE) of a relaxed Pr6O11 crystal.

Output
Energy above the most stable polymorph in this dataset ... 0.000 eV per atom
Total energy after the MP2020 corrections ... -138.22 eV/f.u.

Structure (POSCAR):
```
Pr6O11
1.0
12.157 0.000 0.000
0.000 6.968 0.000
0.000 2.414 13.199
Pr O
24 44
direct
0.666 0.359 0.377
0.350 0.873 0.875
0.166 0.641 0.123
0.670 0.585 0.624
0.834 0.359 0.877
0.850 0.127 0.625
0.150 0.873 0.375
0.334 0.641 0.623
0.000 0.623 0.630
0.500 0.623 0.130
0.986 0.864 0.884
0.500 0.377 0.870
0.000 0.377 0.370
0.014 0.136 0.116
0.830 0.864 0.396
0.670 0.864 0.896
0.330 0.415 0.376
0.170 0.136 0.604
0.330 0.136 0.104
0.170 0.415 0.876
0.830 0.585 0.124
0.514 0.864 0.384
0.650 0.127 0.125
0.486 0.136 0.616
0.838 0.424 0.693
0.169 0.337 0.057
0.833 0.587 0.304
0.831 0.266 0.072
0.662 0.191 0.938
0.488 0.185 0.425
0.831 0.663 0.943
0.672 0.811 0.079
0.172 0.189 0.421
0.822 0.043 0.807
0.328 0.189 0.921
0.678 0.043 0.307
0.012 0.185 0.925
0.162 0.576 0.307
0.333 0.413 0.196
0.520 0.052 0.801
0.178 0.957 0.193
0.005 0.319 0.560
0.167 0.413 0.696
0.501 0.566 0.315
0.322 0.957 0.693
0.669 0.663 0.443
0.669 0.266 0.572
0.999 0.566 0.815
0.667 0.587 0.804
0.988 0.815 0.075
0.338 0.809 0.062
0.662 0.424 0.193
0.169 0.734 0.928
0.505 0.681 0.940
0.995 0.681 0.440
0.828 0.811 0.579
0.331 0.337 0.557
0.162 0.809 0.562
0.512 0.815 0.575
0.495 0.319 0.060
0.020 0.948 0.699
0.499 0.434 0.685
0.331 0.734 0.428
0.980 0.052 0.301
0.838 0.191 0.438
0.001 0.434 0.185
0.338 0.576 0.807
0.480 0.948 0.199
```

Record 6
The following is a DFT calculation (PBE) of a relaxed Ce3In3Ru2 crystal.

Structure (POSCAR):
```
Ce3In3Ru2
1.0
-1.386 0.307 -8.438
1.204 -3.771 -7.587
-4.165 -2.671 -0.119
Ce In Ru
3 3 2
direct
0.829 0.829 0.575
0.171 0.171 0.425
0.000 0.000 0.000
0.369 0.369 0.057
0.500 0.500 0.500
0.631 0.631 0.943
0.791 0.791 0.110
0.209 0.209 0.890
```

Record 7
The following is a DFT calculation (PBE) of a relaxed NpAl3 crystal.

Structure (POSCAR):
```
NpAl3
1.0
-3.838 -1.358 1.252
0.744 -3.779 -1.818
1.690 -1.419 3.642
Np Al
1 3
direct
0.000 0.000 0.000
0.000 0.500 0.500
0.500 0.500 0.000
0.500 0.000 0.500
```

Record 8
The following is a DFT calculation (PBE) of a relaxed Sm4TiFe33N4 crystal.

Output
Total energy after the MP2020 corrections ... -347.90 eV/f.u.

Structure (POSCAR):
```
Sm4TiFe33N4
1.0
4.388 2.528 4.187
-4.329 2.472 4.160
-0.038 -10.016 8.358
Sm Ti Fe N
4 1 33 4
direct
0.659 0.658 0.329
0.659 0.658 0.829
0.341 0.342 0.171
0.348 0.349 0.674
0.094 0.093 0.547
0.282 0.717 0.001
0.283 0.714 0.500
0.718 0.998 0.142
0.715 0.996 0.642
0.000 0.292 0.354
0.000 0.289 0.855
0.283 0.999 0.357
0.281 0.003 0.858
0.000 0.711 0.144
0.000 0.707 0.646
0.718 0.283 0.999
0.715 0.283 0.499
0.340 0.346 0.427
0.339 0.345 0.928
0.340 0.854 0.172
0.341 0.853 0.673
0.854 0.343 0.172
0.852 0.344 0.672
0.661 0.654 0.073
0.661 0.655 0.572
0.660 0.145 0.327
0.660 0.146 0.828
0.145 0.657 0.328
0.145 0.657 0.829
0.000 0.000 0.250
0.999 0.000 0.751
0.998 0.503 0.500
0.000 0.500 0.000
0.500 0.000 0.000
0.503 0.998 0.499
0.904 0.905 0.451
0.905 0.905 0.953
0.095 0.095 0.048
0.500 0.500 0.000
0.501 0.501 0.500
0.502 0.001 0.249
0.499 0.000 0.751
```

| no. | energy relative to the elements (kJ per mole of atoms) |
| --- | --- |
| 1 | 0.0 |
| 2 | -150.2 |
| 3 | -272.6 |
| 4 | -72.6 |
| 5 | -312.8 |
| 6 | -44.9 |
| 7 | -10.1 |
| 8 | -19.0 |